[1]
# Na2FePCO7

Na2FePCO7 after structural relaxation (PBE with a Hubbard U, the Materials Project database).

a = 6.554 Å, b = 5.235 Å, c = 17.936 Å
α = 89.54°, β = 90.00°, γ = 90.00°
Element x y z (fractional)
O1 0.067 0.760 0.661
O2 0.258 0.464 0.421
O3 0.260 0.044 0.436
O4 0.765 0.578 0.765
O5 0.744 0.129 0.716
O6 0.740 0.956 0.564
O7 0.057 0.774 0.163
O8 0.742 0.536 0.579
O9 0.265 0.422 0.735
O10 0.735 0.578 0.265
O11 0.756 0.129 0.216
O12 0.567 0.240 0.839
O13 0.256 0.871 0.284
O14 0.433 0.760 0.161
O15 0.240 0.044 0.936
O16 0.244 0.871 0.784
O17 0.734 0.702 0.462
O18 0.266 0.298 0.538
O19 0.758 0.536 0.079
O20 0.234 0.298 0.038
O21 0.235 0.422 0.235
O22 0.766 0.702 0.962
O23 0.760 0.956 0.064
O24 0.242 0.464 0.921
O25 0.943 0.226 0.837
O26 0.933 0.240 0.339
O27 0.557 0.226 0.337
O28 0.443 0.774 0.663
Fe1 0.734 0.784 0.173
Fe2 0.234 0.216 0.327
Fe3 0.766 0.784 0.673
Fe4 0.266 0.216 0.827
C1 0.236 0.270 0.967
C2 0.264 0.270 0.467
C3 0.736 0.730 0.533
C4 0.764 0.730 0.033
Na1 0.220 0.764 0.540
Na2 0.720 0.236 0.960
Na3 0.511 0.749 0.369
Na4 0.280 0.764 0.040
Na5 0.989 0.749 0.869
Na6 0.489 0.251 0.631
Na7 0.011 0.251 0.131
Na8 0.780 0.236 0.460
P1 0.755 0.290 0.788
P2 0.255 0.710 0.712
P3 0.745 0.290 0.288
P4 0.245 0.710 0.212

Computed properties:
- calculated total energy (Ry/atom) = -0.49158
- spin magnetization (μB per cell) = 20.0
- space-group type = P2_1/c (14)
- formation energy from the elements (eV/atom) = -2.244

---

[2]
# Na2FePCO7

Na2FePCO7 after structural relaxation (PBE with a Hubbard U, the Materials Project database).

a = 5.245 Å, b = 6.551 Å, c = 17.904 Å
α = 90.71°, β = 90.46°, γ = 90.17°
Element x y z (fractional)
Na1 0.764 0.759 0.459
Na2 0.750 0.010 0.132
Na3 0.749 0.013 0.632
Na4 0.762 0.720 0.959
Na5 0.238 0.281 0.040
Na6 0.252 0.513 0.368
Na7 0.237 0.258 0.541
Na8 0.251 0.989 0.868
Fe1 0.784 0.263 0.827
Fe2 0.784 0.237 0.327
Fe3 0.216 0.733 0.173
Fe4 0.216 0.739 0.673
P1 0.711 0.747 0.288
P2 0.289 0.247 0.712
P3 0.711 0.755 0.788
P4 0.289 0.244 0.212
O1 0.238 0.438 0.665
O2 0.956 0.264 0.436
O3 0.776 0.559 0.337
O4 0.536 0.264 0.421
O5 0.536 0.246 0.921
O6 0.956 0.244 0.936
O7 0.299 0.739 0.462
O8 0.299 0.770 0.962
O9 0.044 0.756 0.064
O10 0.763 0.564 0.835
O11 0.774 0.939 0.840
O12 0.226 0.062 0.660
O13 0.423 0.736 0.265
O14 0.463 0.756 0.079
O15 0.701 0.230 0.038
O16 0.223 0.055 0.163
O17 0.128 0.242 0.784
O18 0.239 0.431 0.162
O19 0.761 0.935 0.339
O20 0.871 0.756 0.216
O21 0.424 0.766 0.765
O22 0.872 0.759 0.716
O23 0.044 0.758 0.564
O24 0.464 0.758 0.580
O25 0.702 0.234 0.537
O26 0.576 0.235 0.235
O27 0.128 0.258 0.284
O28 0.576 0.235 0.735
C1 0.270 0.753 0.533
C2 0.730 0.255 0.468
C3 0.730 0.237 0.968
C4 0.270 0.763 0.032

Computed properties:
- calculated total energy (Ry/atom) = -0.49155
- spin magnetization (μB per cell) = 20.0
- space-group type = P1 (1)
- formation energy from the elements (eV/atom) = -2.244

---

[3]
# Na2FePCO7

Na2FePCO7 after structural relaxation (PBE with a Hubbard U, the Materials Project database).

a = 6.527 Å, b = 10.356 Å, c = 10.507 Å
α = 59.83°, β = 90.00°, γ = 90.00°
Element x y z (fractional)
O1 0.750 0.531 0.695
O2 0.738 0.925 0.935
O3 0.762 0.925 0.435
O4 0.260 0.842 0.097
O5 0.740 0.158 0.903
O6 0.562 0.675 0.802
O7 0.439 0.323 0.710
O8 0.252 0.569 0.030
O9 0.062 0.325 0.698
O10 0.438 0.325 0.198
O11 0.238 0.075 0.565
O12 0.938 0.675 0.302
O13 0.061 0.323 0.210
O14 0.748 0.431 0.970
O15 0.750 0.531 0.195
O16 0.248 0.569 0.530
O17 0.232 0.871 0.292
O18 0.268 0.871 0.792
O19 0.561 0.677 0.290
O20 0.768 0.129 0.708
O21 0.262 0.075 0.065
O22 0.240 0.842 0.597
O23 0.250 0.469 0.805
O24 0.752 0.431 0.470
O25 0.732 0.129 0.208
O26 0.939 0.677 0.790
O27 0.760 0.158 0.403
O28 0.250 0.469 0.305
Na1 0.487 0.263 0.991
Na2 0.513 0.737 0.009
Na3 0.758 0.920 0.172
Na4 0.258 0.080 0.328
Na5 0.987 0.737 0.509
Na6 0.742 0.920 0.672
Na7 0.242 0.080 0.828
Na8 0.013 0.263 0.491
C1 0.748 0.065 0.852
C2 0.248 0.935 0.648
C3 0.752 0.065 0.352
C4 0.252 0.935 0.148
Fe1 0.247 0.654 0.815
Fe2 0.753 0.346 0.185
Fe3 0.253 0.654 0.315
Fe4 0.747 0.346 0.685
P1 0.750 0.576 0.817
P2 0.250 0.424 0.683
P3 0.750 0.576 0.317
P4 0.250 0.424 0.183

Computed properties:
- calculated total energy (Ry/atom) = -0.49138
- spin magnetization (μB per cell) = 20.0
- space-group type = P2_1/c (14)
- formation energy from the elements (eV/atom) = -2.242

---

[4]
# Na5Fe2P2C2O14

Na5Fe2P2C2O14 after structural relaxation (PBE with a Hubbard U, the Materials Project database).

a = 5.289 Å, b = 6.630 Å, c = 18.017 Å
α = 88.16°, β = 89.02°, γ = 89.78°
Element x y z (fractional)
O1 0.527 0.747 0.569
O2 0.120 0.740 0.217
O3 0.205 0.933 0.840
O4 0.476 0.232 0.425
O5 0.870 0.251 0.786
O6 0.534 0.751 0.078
O7 0.568 0.748 0.265
O8 0.762 0.071 0.666
O9 0.230 0.558 0.340
O10 0.773 0.066 0.162
O11 0.950 0.757 0.063
O12 0.053 0.236 0.440
O13 0.703 0.739 0.962
O14 0.467 0.235 0.916
O15 0.316 0.292 0.031
O16 0.790 0.443 0.158
O17 0.219 0.930 0.335
O18 0.051 0.236 0.937
O19 0.144 0.739 0.720
O20 0.419 0.269 0.223
O21 0.212 0.557 0.846
O22 0.848 0.251 0.283
O23 0.708 0.738 0.455
O24 0.576 0.747 0.782
O25 0.431 0.271 0.738
O26 0.304 0.288 0.538
O27 0.781 0.445 0.663
O28 0.948 0.751 0.558
Na1 0.247 0.514 0.628
Na2 0.775 0.234 0.046
Na3 0.747 0.979 0.864
Na4 0.751 0.997 0.370
Na5 0.242 0.757 0.964
Na6 0.767 0.227 0.545
Na7 0.746 0.506 0.867
Na8 0.752 0.486 0.373
Na9 0.245 0.485 0.134
Na10 0.246 0.764 0.463
Fe1 0.778 0.764 0.671
Fe2 0.783 0.767 0.174
Fe3 0.225 0.245 0.325
Fe4 0.216 0.244 0.824
P1 0.284 0.744 0.792
P2 0.280 0.745 0.288
P3 0.716 0.258 0.712
P4 0.706 0.257 0.209
C1 0.727 0.744 0.527
C2 0.279 0.255 0.964
C3 0.277 0.253 0.469
C4 0.728 0.747 0.033

Computed properties:
- calculated total energy (Ry/atom) = -0.48310
- spin magnetization (μB per cell) = 18.0
- space-group type = P1 (1)
- formation energy from the elements (eV/atom) = -2.254

---

Which value of spin magnetization does entry 2 give?
20.0 μB per cell

---

Which value of formation energy from the elements does entry 3 give?
-2.242 eV/atom

---

What is the formation energy from the elements in the first record?
-2.244 eV/atom

---

Look up the spin magnetization of the first one.
20.0 μB per cell